r²SCAN Al2S3, relaxed; calculated formation energy = -1234 meV/atom; VASP energy = -349.9 eV for the cell shown
1.0
-5.2368 2.8341 -3.7636
-14.4310 -12.4873 -9.1025
-16.2181 -8.4763 -3.5947
S Al
24 16
direct
0.8592 0.8826 0.8783
0.4051 0.3788 0.8642
0.3811 0.5414 0.3764
0.3837 0.0423 0.8737
0.3720 0.8699 0.3910
0.3911 0.2266 0.8462
0.3765 0.5496 0.8664
0.8692 0.0423 0.8737
0.8643 0.2242 0.8665
0.8644 0.6856 0.4051
0.8464 0.8699 0.3910
0.8739 0.5487 0.8691
0.8451 0.2050 0.3858
0.3859 0.8981 0.8450
0.8783 0.7139 0.8590
0.3765 0.0351 0.3809
0.3910 0.7011 0.3718
0.8665 0.5414 0.3764
0.8666 0.3788 0.8642
0.3837 0.2050 0.3858
0.8592 0.3571 0.4038
0.4039 0.7139 0.8590
0.8738 0.0342 0.3835
0.3859 0.3595 0.3836
0.6297 0.9393 0.6412
0.6206 0.1029 0.1504
0.6297 0.4809 0.0996
0.6088 0.4601 0.6205
0.9893 0.9966 0.0108
0.6414 0.1237 0.6296
0.6251 0.7918 0.1251
0.6252 0.2918 0.6251
0.1252 0.7919 0.6250
0.2610 0.5871 0.2392
0.1505 0.4601 0.6204
0.6252 0.7919 0.6250
0.2394 0.2466 0.2608
0.6206 0.6445 0.6088
0.0110 0.3372 0.9892
0.0998 0.1236 0.6297